[1]
Entry from the Materials Project database: a relaxed structure of ErB4Ir4 (GGA-PBE).

- V (Å³ per cell) = 218
- energy of formation from the pure elements (eV per atom) = -0.513

The structure in POSCAR format:
```
ErB4Ir4
1.0
5.4028 0.0000 0.0000
0.0000 5.4028 0.0000
0.0000 0.0000 7.4624
Er B Ir
2 8 8
Cartesian
1.3507 4.0521 1.8656
4.0521 1.3507 5.5968
0.4181 1.3507 0.7201
1.3507 0.4181 4.4513
1.3507 2.2833 4.4513
2.2833 1.3507 0.7201
3.1195 4.0521 6.7423
4.0521 3.1195 3.0111
4.0521 4.9847 3.0111
4.9847 4.0521 6.7423
0.0058 4.0521 4.5166
1.3507 2.7072 6.6770
1.3507 5.3970 6.6770
2.6956 4.0521 4.5166
2.7072 1.3507 2.9458
4.0521 0.0058 0.7854
4.0521 2.6956 0.7854
5.3970 1.3507 2.9458
```

=====

[2]
Entry from the Materials Project database: a relaxed structure of ErMgB5O10 (GGA-PBE).

- corrected total energy (MP2020 scheme) (eV/atom) = -8.341
- V (Å³ per cell) = 613
- energy of formation from the pure elements (eV per atom) = -3.103
- size of the total moment (μB per cell) = 0.00

The structure in POSCAR format:
```
ErMgB5O10
1.0
8.6101 0.0000 0.0000
0.0000 7.6422 0.0000
-7.9982 0.0000 9.3203
Er Mg B O
4 4 20 40
Cartesian
-1.4718 1.4774 2.2532
-5.4709 2.3437 6.9133
6.0828 5.2985 2.4070
2.0838 6.1648 7.0671
-2.9129 4.5193 8.1221
1.0862 6.9440 3.4619
-0.4743 0.6982 5.8584
3.5248 3.1229 1.1982
-4.0773 5.1485 5.6286
-0.0782 6.3148 0.9684
-6.6170 4.5659 9.2680
-2.6179 6.8973 4.6079
1.9489 0.2450 0.5204
-2.0502 3.5761 5.1805
0.8593 4.3964 2.4116
-3.1398 7.0669 7.0717
-3.1865 1.4416 8.4937
0.8125 2.3794 3.8336
-0.2006 5.2627 5.4867
3.7985 6.2005 0.8265
3.7517 0.5753 2.2485
-0.2474 3.2458 6.9087
2.6621 4.0661 4.1398
-1.3370 7.3972 8.7999
3.2298 0.7448 4.7124
7.2289 3.0763 0.0523
0.6901 1.3274 8.3519
4.6892 2.4937 3.6917
-7.5856 5.5691 9.1187
-3.5865 5.8941 4.4586
-6.5369 0.8449 8.5644
-2.5378 2.9762 3.9043
-5.9753 4.1891 8.1385
-1.9762 7.2742 3.4783
-0.1739 5.4208 2.1532
-4.1730 6.0425 6.8133
-3.1800 4.0355 6.0469
0.8190 7.4277 1.3867
-3.7807 0.6635 7.5171
0.2184 3.1576 2.8569
1.6539 4.0387 1.1845
-2.3452 7.4246 5.8446
-1.2659 4.7967 4.7606
2.7331 6.6666 0.1005
0.2283 1.1442 3.9605
-3.7708 2.6769 8.6206
2.8316 1.1465 1.2564
-1.1675 2.6745 5.9166
1.7794 4.9676 3.4037
-2.2196 6.4956 8.0639
4.3827 4.9653 0.6997
0.3836 6.4980 5.3598
-2.1212 0.9756 9.2198
1.8779 2.8455 4.5597
2.9571 0.2176 3.4757
-1.0420 3.6035 8.1358
0.3936 4.4846 6.4634
4.3926 6.9787 1.8032
-0.2071 0.2145 7.9335
3.7920 3.6066 3.2734
4.7849 1.5997 2.5070
0.7859 2.2214 7.1671
2.5881 0.3680 5.8420
6.5872 3.4531 1.1818
3.1497 4.6660 5.4160
7.1488 6.7973 0.7559
4.1984 1.7481 4.8617
8.1975 2.0730 0.2016
```

=====

[3]
Entry from the Materials Project database: a relaxed structure of ErB4Mo (GGA-PBE).

- V (Å³ per cell) = 252
- energy of formation from the pure elements (eV per atom) = -0.638
- size of the total moment (μB per cell) = 0.01

The structure in POSCAR format:
```
ErB4Mo
1.0
6.0075 0.0000 0.0000
0.0000 11.6175 0.0000
0.0000 0.0000 3.6061
Er B Mo
4 16 4
Cartesian
0.7623 1.7411 0.0000
2.2415 7.5499 0.0000
3.7660 4.0677 0.0000
5.2452 9.8764 0.0000
0.1461 8.0582 1.8031
0.6908 6.3592 1.8031
0.7957 11.2433 1.8031
1.2816 9.4485 1.8031
1.7221 3.6397 1.8031
2.2081 5.4345 1.8031
2.3129 0.5504 1.8031
2.8576 2.2494 1.8031
3.1498 9.3681 1.8031
3.6945 11.0671 1.8031
3.7994 6.1830 1.8031
4.2853 7.9778 1.8031
4.7259 2.1691 1.8031
5.2118 0.3742 1.8031
5.3167 5.2584 1.8031
5.8614 3.5594 1.8031
0.7804 4.8358 0.0000
2.2233 10.6445 0.0000
3.7841 0.9730 0.0000
5.2271 6.7818 0.0000
```

=====

[4]
Entry from the Materials Project database: a relaxed structure of Na2Er2B2O7 (GGA-PBE).

- corrected total energy (MP2020 scheme) (eV/atom) = -7.779
- V (Å³ per cell) = 601
- energy of formation from the pure elements (eV per atom) = -3.181
- size of the total moment (μB per cell) = 0.01

The structure in POSCAR format:
```
Na2Er2B2O7
1.0
10.6223 0.0000 0.0000
0.0000 6.2253 0.0000
-4.7792 0.0000 9.0902
Na Er B O
8 8 8 28
Cartesian
-1.0037 0.3534 2.3965
-3.3933 2.7592 6.9416
0.9561 4.6120 0.4359
-1.4335 4.7260 4.9810
7.2766 1.4993 4.1092
4.8870 1.6133 8.6543
9.2364 3.4661 2.1486
6.8468 5.8719 6.6937
-0.9836 0.5109 8.3190
1.4060 2.6018 3.7739
4.2767 3.3656 1.6708
1.8871 5.9724 6.2159
3.9560 0.2529 2.8743
1.5664 2.8597 7.4194
4.4371 3.6235 5.3163
6.8267 5.7145 0.7712
-0.7988 1.5466 5.2958
1.5908 1.5661 0.7507
-0.9471 4.0668 7.7477
1.4425 5.2712 3.2026
4.4006 0.9541 5.8876
6.7902 2.1585 1.3425
4.2524 4.6593 8.3395
6.6420 4.6788 3.7944
-3.4162 1.0147 8.5998
-1.0266 2.0979 4.0547
-1.7509 0.9232 6.0648
0.6387 2.1895 1.5197
-2.1673 4.6589 7.8733
0.2223 4.6791 3.3282
2.9312 1.4726 1.2087
0.5416 1.6401 5.7538
1.7688 0.2737 3.7649
-0.6208 2.8390 8.3100
2.4483 4.6242 2.4666
0.0587 4.7139 7.0117
2.1861 3.8887 5.4276
4.5757 5.4493 0.8825
1.2674 0.7760 8.2077
3.6570 2.3366 3.6626
5.7845 1.5115 2.0785
3.3948 1.6012 6.6236
6.4640 3.3864 0.7802
4.0743 5.9516 5.3253
5.3015 4.5852 3.3364
2.9119 4.7528 7.8815
5.6209 1.5462 5.7620
8.0105 1.5665 1.2169
5.2044 4.0359 7.5705
7.5940 5.3022 3.0254
6.8697 4.1274 5.0355
9.2593 5.2106 0.4904
```

=====

[5]
Entry from the Materials Project database: a relaxed structure of Na2Er2B2TeO10 (GGA-PBE).

- corrected total energy (MP2020 scheme) (eV/atom) = -7.437
- V (Å³ per cell) = 415
- energy of formation from the pure elements (eV per atom) = -2.863
- size of the total moment (μB per cell) = 0.00

The structure in POSCAR format:
```
Na2Er2B2TeO10
1.0
6.3485 0.0000 0.0000
0.0000 9.9756 0.0000
-1.6298 0.0000 6.5577
Na Er B Te O
4 4 4 2 20
Cartesian
0.2688 1.1083 1.0924
-0.5462 3.8795 4.3712
5.2649 6.0961 2.1865
4.4499 8.8674 5.4654
0.7775 6.6413 6.4011
1.5924 8.3221 3.1223
3.1263 1.6535 3.4355
3.9412 3.3343 0.1566
0.0154 0.9958 4.1091
0.8303 3.9920 0.8302
3.8884 5.9836 5.7275
4.7033 8.9798 2.4486
3.1743 0.0000 0.0000
2.3594 4.9878 3.2789
-1.4048 6.6928 6.1940
-0.5899 8.2706 2.9152
-0.0325 0.6245 5.4852
0.7824 4.3634 2.2064
1.0891 0.6233 3.3320
1.9040 4.3645 0.0531
1.1096 6.1552 4.1715
1.9245 8.8082 0.8927
2.8621 1.5072 1.1759
2.0472 3.4807 4.4548
2.6715 6.4950 2.1030
1.8566 8.4685 5.3819
2.7942 1.1674 5.6651
3.6091 3.8204 2.3862
2.8147 5.6111 6.5046
3.6296 9.3523 3.2257
3.9363 5.6123 4.3514
4.7512 9.3512 1.0725
5.3086 1.7050 3.6426
6.1235 3.2828 0.3637
```

=====

[6]
Entry from the Materials Project database: a relaxed structure of Er3Ni7B2 (GGA-PBE).

- V (Å³ per cell) = 314
- energy of formation from the pure elements (eV per atom) = -0.533

The structure in POSCAR format:
```
Er3Ni7B2
1.0
5.0410 0.0000 0.0000
-2.5205 4.3656 0.0000
0.0000 0.0000 14.2553
Er Ni B
6 14 4
Cartesian
0.0000 2.9104 0.4615
0.0000 2.9104 3.5638
0.0000 2.9104 6.6661
2.5205 1.4552 7.5892
2.5205 1.4552 10.6915
2.5205 1.4552 13.7938
0.0000 0.0000 0.0000
0.0000 0.0000 7.1277
0.0000 1.4469 9.2453
0.0000 1.4469 12.1377
-1.2675 3.6422 9.2453
-1.2675 3.6422 12.1377
1.2530 0.7234 2.1176
1.2530 0.7234 5.0100
1.2675 3.6422 9.2453
1.2675 3.6422 12.1377
3.7880 0.7234 2.1176
3.7880 0.7234 5.0100
2.5205 2.9188 2.1176
2.5205 2.9188 5.0100
0.0000 0.0000 3.5638
0.0000 0.0000 10.6915
0.0000 2.9104 10.6915
2.5205 1.4552 3.5638
```

=====

[7]
Entry from the Materials Project database: a relaxed structure of Er2Ni10B5 (GGA-PBE).

- V (Å³ per cell) = 1482
- energy of formation from the pure elements (eV per atom) = -0.477
- size of the total moment (μB per cell) = 0.01

The structure in POSCAR format:
```
Er2Ni10B5
1.0
8.9676 0.0000 0.0000
0.0000 9.4345 0.0000
0.0000 0.0000 17.5201
Er Ni B
16 80 40
Cartesian
1.1122 1.3301 3.8907
1.1122 3.3871 12.6507
1.9717 1.0639 0.3484
1.9717 3.6533 9.1084
2.5121 5.7811 0.3484
2.5121 8.3706 9.1084
3.3716 6.0474 3.8907
3.3716 8.1043 12.6507
5.5960 1.3301 4.8693
5.5960 3.3871 13.6294
6.4555 1.0639 8.4116
6.4555 3.6533 17.1717
6.9959 5.7811 8.4116
6.9959 8.3706 17.1717
7.8555 6.0474 4.8693
7.8555 8.1043 13.6294
0.3820 4.9257 7.0742
0.3820 9.2261 15.8342
0.3911 6.7808 15.7960
0.3911 7.3709 7.0360
0.7019 1.0700 8.4830
0.7019 3.6473 17.2430
0.7228 6.2849 9.3129
0.7228 7.8668 0.5529
0.8125 6.1037 2.6284
0.8125 8.0480 11.3884
1.0889 0.3585 13.5443
1.0889 4.3588 4.7842
1.1329 6.3801 13.3692
1.1329 7.7716 4.6091
1.4530 2.0600 15.2920
1.4530 2.6572 6.5320
1.5872 0.0574 6.4758
1.5872 4.6599 15.2358
2.0745 1.0067 11.1258
2.0745 3.7106 2.3658
2.4093 5.7239 11.1258
2.4093 8.4278 2.3658
2.8967 4.7746 6.4758
2.8967 9.3771 15.2358
3.0308 6.7772 15.2920
3.0308 7.3745 6.5320
3.3510 1.6628 13.3692
3.3510 3.0544 4.6091
3.3949 5.0757 13.5443
3.3949 9.0760 4.7842
3.6713 1.3865 2.6284
3.6713 3.3307 11.3884
3.7610 1.5677 9.3129
3.7610 3.1496 0.5529
3.7819 5.7872 8.4830
3.7819 8.3645 17.2430
4.0927 2.0635 15.7960
4.0927 2.6537 7.0360
4.1018 0.2084 7.0742
4.1018 4.5088 15.8342
4.8659 4.9257 1.6859
4.8659 9.2261 10.4459
4.8749 6.7808 10.4841
4.8749 7.3709 1.7240
5.1857 1.0700 0.2771
5.1857 3.6473 9.0371
5.2066 6.2849 16.9672
5.2066 7.8668 8.2071
5.2964 6.1037 6.1317
5.2964 8.0480 14.8917
5.5728 0.3585 12.7358
5.5728 4.3588 3.9758
5.6167 6.3801 12.9109
5.6167 7.7716 4.1509
5.9368 2.0600 10.9881
5.9368 2.6572 2.2281
6.0710 0.0574 2.2842
6.0710 4.6599 11.0443
6.5583 1.0067 15.1543
6.5583 3.7106 6.3942
6.8931 5.7239 15.1543
6.8931 8.4278 6.3942
7.3805 4.7746 2.2842
7.3805 9.3771 11.0443
7.5146 6.7772 10.9881
7.5146 7.3745 2.2281
7.8348 1.6628 12.9109
7.8348 3.0544 4.1509
7.8787 5.0757 12.7358
7.8787 9.0760 3.9758
8.1551 1.3865 6.1317
8.1551 3.3307 14.8917
8.2448 1.5677 16.9672
8.2448 3.1496 8.2071
8.2657 5.7872 0.2771
8.2657 8.3645 9.0371
8.5765 2.0635 10.4841
8.5765 2.6537 1.7240
8.5856 0.2084 1.6859
8.5856 4.5088 10.4459
0.2143 0.6040 11.8550
0.2143 4.1132 3.0949
0.3436 0.1799 10.1989
0.3436 4.5373 1.4388
0.4314 6.0499 11.4778
0.4314 8.1018 2.7177
1.4912 6.1115 5.8281
1.4912 8.0402 14.5881
1.9027 6.1155 7.6783
1.9027 8.0363 16.4383
2.5811 1.3982 7.6783
2.5811 3.3190 16.4383
2.9927 1.3942 5.8281
2.9927 3.3230 14.5881
4.0524 1.3327 11.4778
4.0524 3.3845 2.7177
4.1402 4.8971 10.1989
4.1402 9.2546 1.4388
4.2695 5.3213 11.8550
4.2695 8.8304 3.0949
4.6981 0.6040 14.4251
4.6981 4.1132 5.6651
4.8274 0.1799 16.0813
4.8274 4.5373 7.3212
4.9152 6.0499 14.8023
4.9152 8.1018 6.0423
5.9750 6.1115 2.9320
5.9750 8.0402 11.6920
6.3865 6.1155 1.0818
6.3865 8.0363 9.8418
7.0650 1.3982 1.0818
7.0650 3.3190 9.8418
7.4765 1.3942 2.9320
7.4765 3.3230 11.6920
8.5363 1.3327 14.8023
8.5363 3.3845 6.0423
8.6241 4.8971 16.0813
8.6241 9.2546 7.3212
8.7533 5.3213 14.4251
8.7533 8.8304 5.6651
```

=====

[8]
Entry from the Materials Project database: a relaxed structure of ErNi7B3 (GGA-PBE).

- V (Å³ per cell) = 453
- energy of formation from the pure elements (eV per atom) = -0.430
- size of the total moment (μB per cell) = 0.02

The structure in POSCAR format:
```
ErNi7B3
1.0
-3.8171 3.8171 7.7786
3.8171 -3.8171 7.7786
3.8171 3.8171 -7.7786
Er Ni B
4 28 12
Cartesian
3.8171 1.9086 -2.4759
0.0000 1.9086 1.4134
3.8171 1.9086 6.3652
0.0000 1.9086 10.2545
3.8171 0.0000 0.0000
3.8171 -3.1472 6.7111
2.5784 -1.9086 4.9568
5.0558 -1.9086 4.9568
2.3845 0.4760 1.9447
5.2497 0.4760 1.9447
2.2007 1.9086 -0.2831
5.4335 1.9086 -0.2831
0.0000 0.2922 3.6062
3.8171 0.2922 4.1724
3.8171 -0.6699 6.7111
2.3845 4.2931 -1.9447
1.4326 0.4760 5.8340
-1.9086 1.9086 3.8893
0.0000 0.0000 7.7786
1.9086 1.9086 3.8893
2.3845 3.3411 1.9447
1.4326 -0.4760 9.7233
0.0000 4.4870 1.0675
0.0000 3.5249 3.6062
3.8171 3.5249 4.1724
-1.6164 1.9086 8.0617
1.6164 1.9086 8.0617
-1.4326 3.3411 5.8340
1.4326 3.3411 5.8340
-1.2387 5.7257 2.8218
1.2387 5.7257 2.8218
0.0000 6.9644 1.0675
1.6022 0.0000 0.0000
6.0320 0.0000 0.0000
1.9086 3.5107 -3.8893
1.9086 -0.3064 3.8893
3.8171 1.9086 1.0343
3.8171 1.9086 2.8550
1.6022 3.8171 0.0000
2.2149 0.0000 7.7786
0.0000 1.9086 4.9236
0.0000 1.9086 6.7444
-1.9086 4.1235 3.8893
1.9086 4.1235 3.8893
```